1.
Compound: Cs3TlF6
Source: the Materials Project database
Functional: PBE
Structure: relaxed

Summary:
- energy of formation from the pure elements (eV/atom) = -2.68
- crystal system = cubic
- space group = Fm-3m

Cell: 7.0891 7.0891 7.0891 Å, 60.00 60.00 60.00°
Atoms (fractional coordinates):
Cs (0.2500, 0.2500, 0.2500)
Cs (0.7500, 0.7500, 0.7500)
Cs (0.5000, 0.5000, 0.5000)
Tl (0.0000, 0.0000, 0.0000)
F (0.2198, 0.7802, 0.2198)
F (0.7802, 0.7802, 0.2198)
F (0.7802, 0.2198, 0.7802)
F (0.7802, 0.2198, 0.2198)
F (0.2198, 0.7802, 0.7802)
F (0.2198, 0.2198, 0.7802)


2.
Compound: Li3Si3Ag2
Source: the Materials Project database
Functional: PBE
Structure: relaxed

Summary:
- energy of formation from the pure elements (eV/atom) = -0.04
- crystal system = tetragonal
- space group = P4_2/nnm
- total magnetization (μB/cell) = 0.016

Cell: 6.2337 6.2337 6.3380 Å, 90.00 90.00 90.00°
Atoms (fractional coordinates):
Li (0.2500, 0.7500, 0.2500)
Li (0.7500, 0.7500, 0.7500)
Li (0.2500, 0.2500, 0.7500)
Li (0.7500, 0.2500, 0.2500)
Li (0.0000, 0.0000, 0.0000)
Li (0.5000, 0.5000, 0.5000)
Si (0.5000, 0.0000, 0.0000)
Si (0.5000, 0.0000, 0.5000)
Si (0.0000, 0.5000, 0.5000)
Si (0.0000, 0.5000, 0.0000)
Si (0.5000, 0.5000, 0.0000)
Si (0.0000, 0.0000, 0.5000)
Ag (0.2500, 0.7500, 0.7500)
Ag (0.7500, 0.7500, 0.2500)
Ag (0.2500, 0.2500, 0.2500)
Ag (0.7500, 0.2500, 0.7500)


3.
Compound: Tl3Ir
Source: the Materials Project database
Functional: PBE
Structure: relaxed

Summary:
- energy of formation from the pure elements (eV/atom) = 0.54
- crystal system = cubic
- space group = Pm-3n
- total magnetization (μB/cell) = 0.000
- distance to the lowest polymorph of the same formula (meV/atom) = 17

Cell: 5.7346 5.7346 5.7346 Å, 90.00 90.00 90.00°
Atoms (fractional coordinates):
Tl (0.0000, 0.5000, 0.7500)
Tl (0.5000, 0.2500, 0.0000)
Tl (0.7500, 0.0000, 0.5000)
Tl (0.0000, 0.5000, 0.2500)
Tl (0.5000, 0.7500, 0.0000)
Tl (0.2500, 0.0000, 0.5000)
Ir (0.5000, 0.5000, 0.5000)
Ir (0.0000, 0.0000, 0.0000)


4.
Compound: MgAg20Bi4O16
Source: the Materials Project database
Functional: PBE
Structure: relaxed

Summary:
- energy of formation from the pure elements (eV/atom) = -0.68
- crystal system = triclinic
- space group = P1
- total magnetization (μB/cell) = 0.000
- distance to the lowest polymorph of the same formula (meV/atom) = 21

Cell: 6.0650 9.3369 12.9663 Å, 95.84 91.87 86.97°
Atoms (fractional coordinates):
Mg (0.1440, 0.0016, 0.8303)
Ag (0.2153, 0.6956, 0.1464)
Ag (0.7945, 0.8125, 0.6275)
Ag (0.0210, 0.4439, 0.0317)
Ag (0.5183, 0.0241, 0.4809)
Ag (0.0590, 0.1738, 0.6306)
Ag (0.3643, 0.6320, 0.8418)
Ag (0.9742, 0.8725, 0.3454)
Ag (0.5374, 0.3395, 0.1638)
Ag (0.5335, 0.9910, 0.2392)
Ag (0.9688, 0.4775, 0.2682)
Ag (0.5399, 0.0649, 0.7353)
Ag (0.0055, 0.4791, 0.7395)
Ag (0.5520, 0.0671, 0.9475)
Ag (0.0094, 0.5361, 0.4979)
Ag (0.2774, 0.2840, 0.8628)
Ag (0.2924, 0.8151, 0.6300)
Ag (0.7111, 0.6955, 0.1547)
Ag (0.7583, 0.2404, 0.3636)
Ag (0.7652, 0.2904, 0.8616)
Ag (0.2557, 0.2424, 0.3629)
Bi (0.5371, 0.4036, 0.6084)
Bi (0.8405, 0.7744, 0.9239)
Bi (0.4802, 0.6432, 0.3908)
Bi (0.0223, 0.0947, 0.1175)
O (0.1117, 0.3180, 0.1542)
O (0.4053, 0.8732, 0.3597)
O (0.9194, 0.5510, 0.9007)
O (0.6420, 0.1749, 0.5974)
O (0.0296, 0.9599, 0.6867)
O (0.5035, 0.4275, 0.7878)
O (0.0048, 0.1441, 0.9368)
O (0.5486, 0.6707, 0.5709)
O (0.9404, 0.8174, 0.0855)
O (0.5052, 0.3879, 0.4269)
O (0.6625, 0.1162, 0.1174)
O (0.8400, 0.6577, 0.3795)
O (0.1656, 0.8179, 0.8881)
O (0.1739, 0.3894, 0.5987)
O (0.0098, 0.0942, 0.2951)
O (0.4749, 0.5697, 0.2145)


5.
Compound: CeYMg4
Source: the Materials Project database
Functional: PBE
Structure: relaxed

Summary:
- energy of formation from the pure elements (eV/atom) = -0.04
- crystal system = cubic
- space group = F-43m
- total magnetization (μB/cell) = 1.036

Cell: 6.0297 6.0297 6.0297 Å, 60.00 60.00 60.00°
Atoms (fractional coordinates):
Ce (0.2500, 0.2500, 0.2500)
Y (0.0000, 0.0000, 0.0000)
Mg (0.1250, 0.6250, 0.6250)
Mg (0.6250, 0.1250, 0.6250)
Mg (0.6250, 0.6250, 0.1250)
Mg (0.6250, 0.6250, 0.6250)


6.
Compound: Sm2Ge3Pt3
Source: the Materials Project database
Functional: PBE
Structure: relaxed

Summary:
- energy of formation from the pure elements (eV/atom) = 0.33
- crystal system = tetragonal
- space group = P4/mmm
- total magnetization (μB/cell) = 0.001

Cell: 2.8265 2.8265 21.7224 Å, 90.00 90.00 90.00°
Atoms (fractional coordinates):
Sm (0.5000, 0.5000, 0.7586)
Sm (0.5000, 0.5000, 0.2414)
Ge (0.5000, 0.5000, 0.3873)
Ge (0.5000, 0.5000, 0.6127)
Ge (0.5000, 0.5000, 0.0000)
Pt (0.5000, 0.5000, 0.5000)
Pt (0.5000, 0.5000, 0.1147)
Pt (0.5000, 0.5000, 0.8853)


7.
Compound: H2Os5C16O16
Source: the Materials Project database
Functional: PBE
Structure: relaxed

Summary:
- energy of formation from the pure elements (eV/atom) = -0.90
- crystal system = orthorhombic
- space group = Pnma
- total magnetization (μB/cell) = 0.149

Cell: 10.6595 14.6298 16.1584 Å, 90.00 90.00 90.00°
Atoms (fractional coordinates):
H (0.8669, 0.5932, 0.7946)
H (0.6331, 0.9068, 0.2946)
H (0.3669, 0.4068, 0.2054)
H (0.1331, 0.0932, 0.7054)
H (0.1331, 0.4068, 0.2054)
H (0.3669, 0.0932, 0.7054)
H (0.6331, 0.5932, 0.7946)
H (0.8669, 0.9068, 0.2946)
Os (0.7500, 0.4145, 0.9003)
Os (0.7500, 0.0855, 0.4003)
Os (0.2500, 0.5855, 0.0997)
Os (0.2500, 0.9145, 0.5997)
Os (0.8843, 0.4774, 0.7490)
Os (0.6157, 0.0226, 0.2490)
Os (0.3843, 0.5226, 0.2510)
Os (0.1157, 0.9774, 0.7510)
Os (0.1157, 0.5226, 0.2510)
Os (0.3843, 0.9774, 0.7510)
Os (0.6157, 0.4774, 0.7490)
Os (0.8843, 0.0226, 0.2490)
Os (0.7500, 0.6567, 0.7337)
Os (0.7500, 0.8433, 0.2337)
Os (0.2500, 0.3433, 0.2663)
Os (0.2500, 0.1567, 0.7663)
Os (0.7500, 0.5299, 0.6001)
Os (0.7500, 0.9701, 0.1001)
Os (0.2500, 0.4701, 0.3999)
Os (0.2500, 0.0299, 0.8999)
C (0.7500, 0.2929, 0.8490)
C (0.7500, 0.2071, 0.3490)
C (0.2500, 0.7071, 0.1510)
C (0.2500, 0.7929, 0.6510)
C (0.8786, 0.3792, 0.9766)
C (0.6214, 0.1208, 0.4766)
C (0.3786, 0.6208, 0.0234)
C (0.1214, 0.8792, 0.5234)
C (0.1214, 0.6208, 0.0234)
C (0.3786, 0.8792, 0.5234)
C (0.6214, 0.3792, 0.9766)
C (0.8786, 0.1208, 0.4766)
C (0.7500, 0.5413, 0.9411)
C (0.7500, 0.9587, 0.4411)
C (0.2500, 0.4587, 0.0589)
C (0.2500, 0.0413, 0.5589)
C (0.9022, 0.3564, 0.7071)
C (0.5978, 0.1436, 0.2071)
C (0.4022, 0.6436, 0.2929)
C (0.0978, 0.8564, 0.7929)
C (0.0978, 0.6436, 0.2929)
C (0.4022, 0.8564, 0.7929)
C (0.5978, 0.3564, 0.7071)
C (0.9022, 0.1436, 0.2071)
C (0.0098, 0.5213, 0.6738)
C (0.4902, 0.9787, 0.1738)
C (0.5098, 0.4787, 0.3262)
C (0.9902, 0.0213, 0.8262)
C (0.9902, 0.4787, 0.3262)
C (0.5098, 0.0213, 0.8262)
C (0.4902, 0.5213, 0.6738)
C (0.0098, 0.9787, 0.1738)
C (0.0090, 0.4683, 0.8338)
C (0.4910, 0.0317, 0.3338)
C (0.5090, 0.5317, 0.1662)
C (0.9910, 0.9683, 0.6662)
C (0.9910, 0.5317, 0.1662)
C (0.5090, 0.9683, 0.6662)
C (0.4910, 0.4683, 0.8338)
C (0.0090, 0.0317, 0.3338)
C (0.7500, 0.7396, 0.8264)
C (0.7500, 0.7604, 0.3264)
C (0.2500, 0.2604, 0.1736)
C (0.2500, 0.2396, 0.6736)
C (0.6221, 0.7169, 0.6732)
C (0.8779, 0.7831, 0.1732)
C (0.1221, 0.2831, 0.3268)
C (0.3779, 0.2169, 0.8268)
C (0.3779, 0.2831, 0.3268)
C (0.1221, 0.2169, 0.8268)
C (0.8779, 0.7169, 0.6732)
C (0.6221, 0.7831, 0.1732)
C (0.7500, 0.4124, 0.5481)
C (0.7500, 0.0876, 0.0481)
C (0.2500, 0.5876, 0.4519)
C (0.2500, 0.9124, 0.9519)
C (0.6274, 0.5815, 0.5308)
C (0.8726, 0.9185, 0.0308)
C (0.1274, 0.4185, 0.4692)
C (0.3726, 0.0815, 0.9692)
C (0.3726, 0.4185, 0.4692)
C (0.1274, 0.0815, 0.9692)
C (0.8726, 0.5815, 0.5308)
C (0.6274, 0.9185, 0.0308)
O (0.7500, 0.2196, 0.8224)
O (0.7500, 0.2804, 0.3224)
O (0.2500, 0.7804, 0.1776)
O (0.2500, 0.7196, 0.6776)
O (0.9557, 0.3585, 0.0237)
O (0.5443, 0.1415, 0.5237)
O (0.4557, 0.6415, 0.9763)
O (0.0443, 0.8585, 0.4763)
O (0.0443, 0.6415, 0.9763)
O (0.4557, 0.8585, 0.4763)
O (0.5443, 0.3585, 0.0237)
O (0.9557, 0.1415, 0.5237)
O (0.7500, 0.6132, 0.9704)
O (0.7500, 0.8868, 0.4704)
O (0.2500, 0.3868, 0.0296)
O (0.2500, 0.1132, 0.5296)
O (0.9187, 0.2837, 0.6799)
O (0.5813, 0.2163, 0.1799)
O (0.4187, 0.7163, 0.3201)
O (0.0813, 0.7837, 0.8201)
O (0.0813, 0.7163, 0.3201)
O (0.4187, 0.7837, 0.8201)
O (0.5813, 0.2837, 0.6799)
O (0.9187, 0.2163, 0.1799)
O (0.0982, 0.5443, 0.6368)
O (0.4018, 0.9557, 0.1368)
O (0.5982, 0.4557, 0.3632)
O (0.9018, 0.0443, 0.8632)
O (0.9018, 0.4557, 0.3632)
O (0.5982, 0.0443, 0.8632)
O (0.4018, 0.5443, 0.6368)
O (0.0982, 0.9557, 0.1368)
O (0.0962, 0.4656, 0.8774)
O (0.4038, 0.0344, 0.3774)
O (0.5962, 0.5344, 0.1226)
O (0.9038, 0.9656, 0.6226)
O (0.9038, 0.5344, 0.1226)
O (0.5962, 0.9656, 0.6226)
O (0.4038, 0.4656, 0.8774)
O (0.0962, 0.0344, 0.3774)
O (0.7500, 0.7981, 0.8753)
O (0.7500, 0.7019, 0.3753)
O (0.2500, 0.2019, 0.1247)
O (0.2500, 0.2981, 0.6247)
O (0.5426, 0.7538, 0.6366)
O (0.9574, 0.7462, 0.1366)
O (0.0426, 0.2462, 0.3634)
O (0.4574, 0.2538, 0.8634)
O (0.4574, 0.2462, 0.3634)
O (0.0426, 0.2538, 0.8634)
O (0.9574, 0.7538, 0.6366)
O (0.5426, 0.7462, 0.1366)
O (0.7500, 0.3418, 0.5151)
O (0.7500, 0.1582, 0.0151)
O (0.2500, 0.6582, 0.4849)
O (0.2500, 0.8418, 0.9849)
O (0.5505, 0.6127, 0.4878)
O (0.9495, 0.8873, 0.9878)
O (0.0505, 0.3873, 0.5122)
O (0.4495, 0.1127, 0.0122)
O (0.4495, 0.3873, 0.5122)
O (0.0505, 0.1127, 0.0122)
O (0.9495, 0.6127, 0.4878)
O (0.5505, 0.8873, 0.9878)


8.
Compound: K3Ta3B2O12
Source: the Materials Project database
Functional: PBE
Structure: relaxed

Summary:
- maximum piezoelectric response (C/m2) = 0.54
- energy of formation from the pure elements (eV/atom) = -3.06
- crystal system = hexagonal
- space group = P-62m
- total magnetization (μB/cell) = 0.000

Cell: 8.8887 8.8887 3.9472 Å, 90.00 90.00 120.00°
Atoms (fractional coordinates):
K (0.4039, 0.0000, 0.5000)
K (0.5961, 0.5961, 0.5000)
K (0.0000, 0.4039, 0.5000)
Ta (0.7534, 0.0000, 0.0000)
Ta (0.2466, 0.2466, 0.0000)
Ta (0.0000, 0.7534, 0.0000)
B (0.3333, 0.6667, 0.0000)
B (0.6667, 0.3333, 0.0000)
O (0.8114, 0.4968, 0.0000)
O (0.4968, 0.8114, 0.0000)
O (0.1886, 0.6853, 0.0000)
O (0.3147, 0.5032, 0.0000)
O (0.5032, 0.3147, 0.0000)
O (0.6853, 0.1886, 0.0000)
O (0.7369, 0.0000, 0.5000)
O (0.2631, 0.2631, 0.5000)
O (0.0000, 0.7369, 0.5000)
O (0.1790, 0.0000, 0.0000)
O (0.8210, 0.8210, 0.0000)
O (0.0000, 0.1790, 0.0000)


Question: Which of these has the lowest energy of formation from the pure elements?
Answer: K3Ta3B2O12


Repeat the second record exactly.
Compound: Li3Si3Ag2
Source: the Materials Project database
Functional: PBE
Structure: relaxed

Summary:
- energy of formation from the pure elements (eV/atom) = -0.04
- crystal system = tetragonal
- space group = P4_2/nnm
- total magnetization (μB/cell) = 0.016

Cell: 6.2337 6.2337 6.3380 Å, 90.00 90.00 90.00°
Atoms (fractional coordinates):
Li (0.2500, 0.7500, 0.2500)
Li (0.7500, 0.7500, 0.7500)
Li (0.2500, 0.2500, 0.7500)
Li (0.7500, 0.2500, 0.2500)
Li (0.0000, 0.0000, 0.0000)
Li (0.5000, 0.5000, 0.5000)
Si (0.5000, 0.0000, 0.0000)
Si (0.5000, 0.0000, 0.5000)
Si (0.0000, 0.5000, 0.5000)
Si (0.0000, 0.5000, 0.0000)
Si (0.5000, 0.5000, 0.0000)
Si (0.0000, 0.0000, 0.5000)
Ag (0.2500, 0.7500, 0.7500)
Ag (0.7500, 0.7500, 0.2500)
Ag (0.2500, 0.2500, 0.2500)
Ag (0.7500, 0.2500, 0.7500)


Question: Among the records above, which one has the highest energy of formation from the pure elements?
Answer: Tl3Ir


Question: What is the energy of formation from the pure elements in the fifth record?
Answer: -0.04 eV/atom